No. 1
DFT (GGA-PBE) results for BI3 after structural relaxation.

Lattice parameters (Å, degrees): 7.402 7.402 8.835 90.00 90.00 120.00
Positions (direct):
1 I 0.953 0.622 0.750
2 I 0.622 0.669 0.250
3 I 0.331 0.953 0.250
4 I 0.378 0.331 0.750
5 I 0.669 0.047 0.750
6 I 0.047 0.378 0.250
7 B 0.333 0.667 0.250
8 B 0.667 0.333 0.750

Values from the calculation:
energy of formation from the pure elements: -0.35 eV/atom
volume: 52.41 A^3/atom
symmetry: P6_3/m, No. 176
uncorrected energy: -2.88 eV per atom

No. 2
DFT (GGA-PBE) results for B5I after structural relaxation.

Lattice parameters (Å, degrees): 6.749 6.749 10.479 85.22 85.22 126.48
Positions (direct):
1 I 0.341 0.124 0.366
2 I 0.876 0.659 0.134
3 I 0.659 0.876 0.634
4 I 0.124 0.341 0.866
5 B 0.553 0.899 0.111
6 B 0.949 0.554 0.450
7 B 0.291 0.428 0.278
8 B 0.709 0.572 0.722
9 B 0.051 0.446 0.550
10 B 0.572 0.709 0.222
11 B 0.078 0.512 0.694
12 B 0.016 0.726 0.733
13 B 0.922 0.488 0.306
14 B 0.428 0.291 0.778
15 B 0.554 0.949 0.950
16 B 0.447 0.101 0.889
17 B 0.512 0.078 0.194
18 B 0.899 0.553 0.611
19 B 0.446 0.051 0.050
20 B 0.488 0.922 0.806
21 B 0.984 0.274 0.267
22 B 0.726 0.016 0.233
23 B 0.274 0.984 0.767
24 B 0.101 0.447 0.389

Values from the calculation:
energy of formation from the pure elements: 0.57 eV/atom
volume: 15.72 A^3/atom
symmetry: C2/c, No. 15
size of the total moment: 0.000 μB/atom
uncorrected energy: -5.18 eV per atom

No. 3
DFT (GGA-PBE) results for LaB7IO15 after structural relaxation.

Lattice parameters (Å, degrees): 17.490 8.220 12.878 50.72 90.00 90.00
Positions (direct):
1 O 0.748 0.368 0.598
2 O 0.718 0.626 0.361
3 O 0.953 0.944 0.614
4 O 0.703 0.858 0.132
5 O 0.370 0.790 0.395
6 O 0.775 0.075 0.390
7 O 0.385 0.045 0.157
8 O 0.061 0.486 0.339
9 O 0.215 0.288 0.516
10 O 0.241 0.799 0.001
11 O 0.741 0.201 0.499
12 O 0.248 0.632 0.902
13 O 0.871 0.912 0.770
14 O 0.032 0.506 0.237
15 O 0.391 0.815 0.653
16 O 0.785 0.712 0.484
17 O 0.371 0.088 0.730
18 O 0.252 0.632 0.402
19 O 0.737 0.986 0.743
20 O 0.263 0.014 0.257
21 O 0.715 0.712 0.984
22 O 0.218 0.374 0.139
23 O 0.109 0.815 0.153
24 O 0.885 0.955 0.343
25 O 0.968 0.494 0.763
26 O 0.870 0.210 0.105
27 O 0.609 0.185 0.347
28 O 0.615 0.955 0.843
29 O 0.237 0.014 0.757
30 O 0.561 0.514 0.161
31 O 0.285 0.288 0.016
32 O 0.752 0.368 0.098
33 O 0.282 0.374 0.639
34 O 0.891 0.185 0.847
35 O 0.782 0.626 0.861
36 O 0.115 0.045 0.657
37 O 0.939 0.514 0.661
38 O 0.130 0.790 0.895
39 O 0.797 0.858 0.632
40 O 0.532 0.494 0.263
41 O 0.453 0.056 0.886
42 O 0.297 0.142 0.868
43 O 0.759 0.201 0.999
44 O 0.994 0.115 0.194
45 O 0.547 0.944 0.114
46 O 0.725 0.075 0.890
47 O 0.259 0.799 0.501
48 O 0.275 0.925 0.110
49 O 0.439 0.486 0.839
50 O 0.763 0.986 0.243
51 O 0.129 0.088 0.230
52 O 0.225 0.925 0.610
53 O 0.047 0.056 0.386
54 O 0.494 0.885 0.306
55 O 0.468 0.506 0.737
56 O 0.630 0.210 0.605
57 O 0.506 0.115 0.694
58 O 0.629 0.912 0.270
59 O 0.006 0.885 0.806
60 O 0.203 0.142 0.368
61 B 0.700 0.851 0.250
62 B 0.800 0.851 0.750
63 B 0.773 0.037 0.510
64 B 0.751 0.570 0.977
65 B 0.727 0.037 0.010
66 B 0.749 0.570 0.477
67 B 0.211 0.809 0.889
68 B 0.289 0.809 0.389
69 B 0.305 0.071 0.133
70 B 0.195 0.071 0.633
71 B 0.556 0.916 0.229
72 B 0.227 0.963 0.490
73 B 0.200 0.149 0.250
74 B 0.056 0.084 0.271
75 B 0.249 0.430 0.023
76 B 0.916 0.092 0.216
77 B 0.805 0.929 0.367
78 B 0.273 0.963 0.990
79 B 0.584 0.092 0.716
80 B 0.251 0.430 0.523
81 B 0.711 0.191 0.611
82 B 0.944 0.916 0.729
83 B 0.695 0.929 0.867
84 B 0.300 0.149 0.750
85 B 0.444 0.084 0.771
86 B 0.416 0.908 0.284
87 B 0.789 0.191 0.111
88 B 0.084 0.908 0.784
89 La 0.300 0.566 0.746
90 La 0.200 0.566 0.246
91 La 0.700 0.434 0.254
92 La 0.800 0.434 0.754
93 I 0.579 0.653 0.665
94 I 0.421 0.347 0.335
95 I 0.921 0.653 0.165
96 I 0.079 0.347 0.835

Values from the calculation:
energy of formation from the pure elements: -2.06 eV/atom
volume: 14.93 A^3/atom
symmetry: P2_1/c, No. 14
size of the total moment: 0.033 μB/atom
uncorrected energy: -7.27 eV per atom